Lu2ZnHg | the Materials Project database | r2SCAN | relaxed; energy relative to the elements = -1.86 eV/f.u.; raw total energy = -136.302 eV per cell
1.0
0.000 3.543 3.543
3.543 0.000 3.543
3.543 3.543 0.000
Lu Zn Hg
2 1 1
Cartesian
1.772 1.772 1.772 Lu
5.315 5.315 5.315 Lu
0.000 0.000 0.000 Zn
3.543 3.543 3.543 Hg